MgCoO2 after structural relaxation. Source: the Materials Project, functional GGA+U.

Summary:
V	50	Å³/f.u.
energy of formation	-1.947	eV per atom
energy	-93.52	eV/cell
calculated density	3.83	Mg/m³

a b c (Å): 2.9359 8.3396 8.3911
angles (deg): 91.69 99.54 99.10
With the nearest neighbours (Å) after each atom.
Fractional coordinates of all 16 atoms:
Mg 0.9151 0.5715 0.2795  5 O 2.05-2.13
Mg 0.0849 0.4285 0.7205  5 O 2.05-2.13
Mg 0.2940 0.2120 0.3761  4 O 1.96-2.00
Mg 0.7060 0.7880 0.6239  4 O 1.96-2.00
Co 0.3214 0.6910 0.9484  4 O 1.92-2.14
Co 0.1106 0.8866 0.3020  4 O 2.03-2.17
Co 0.8894 0.1134 0.6980  4 O 2.03-2.17
Co 0.6786 0.3090 0.0516  4 O 1.92-2.14
O 0.0969 0.2685 0.9016  3 Co 1.92-2.06, 1 Mg 2.05
O 0.3043 0.9419 0.6752  2 Mg 1.96-1.98, 2 Co 2.03-2.04
O 0.6957 0.0581 0.3248  2 Mg 1.96-1.98, 2 Co 2.03-2.04
O 0.9031 0.7315 0.0984  3 Co 1.92-2.06, 1 Mg 2.05
O 0.6958 0.6085 0.7774  3 Mg 2.00-2.13, 2 Co 2.11-2.14
O 0.5370 0.7098 0.3964  3 Mg 1.96-2.07, 1 Co 2.17
O 0.3042 0.3915 0.2226  3 Mg 2.00-2.13, 2 Co 2.11-2.14
O 0.4630 0.2902 0.6036  3 Mg 1.96-2.07, 1 Co 2.17